A relaxed Na4LaScSi2SO12 crystal. Source: Materials Project, functional PBE.

```
Na4LaScSi2SO12
1.0
9.5196 0.0000 0.0000
4.7567 8.2556 0.0000
0.0672 -0.0067 23.0209
Na La Sc Si S O
24 6 6 12 6 72
direct
0.0000 0.0000 0.0000 Na
0.0008 0.0479 0.3557 Na
0.0015 0.3004 0.8533 Na
0.0047 0.3420 0.5078 Na
0.2794 0.3400 0.0010 Na
0.2839 0.7398 0.5108 Na
0.3006 0.0055 0.4270 Na
0.3055 0.0375 0.9244 Na
0.3317 0.3372 0.3340 Na
0.3347 0.3868 0.6840 Na
0.3355 0.6813 0.8392 Na
0.3379 0.6330 0.1833 Na
0.6144 0.0641 0.8394 Na
0.6150 0.6697 0.3369 Na
0.6323 0.3403 0.7589 Na
0.6372 0.3777 0.2589 Na
0.6547 0.9730 0.5280 Na
0.6615 0.6714 0.6671 Na
0.6626 0.0202 0.1627 Na
0.6694 0.7124 0.0149 Na
0.9399 0.0125 0.6702 Na
0.9413 0.4006 0.1657 Na
0.9704 0.7091 0.5947 Na
0.9705 0.6709 0.0879 Na
0.3181 0.0166 0.2698 La
0.6535 0.3493 0.0961 La
0.6568 0.3608 0.4180 La
0.9843 0.6832 0.4452 La
0.9879 0.6702 0.2408 La
0.9902 0.6931 0.7463 La
0.3235 0.0128 0.7760 Sc
0.3252 0.9996 0.5788 Sc
0.3294 0.0280 0.0724 Sc
0.6541 0.3496 0.6121 Sc
0.6632 0.3259 0.9109 Sc
0.9908 0.6792 0.9381 Sc
0.2952 0.3758 0.8427 Si
0.2963 0.6823 0.3425 Si
0.3214 0.3203 0.1726 Si
0.3278 0.7171 0.6769 Si
0.6051 0.0251 0.6754 Si
0.6166 0.7167 0.1708 Si
0.6451 0.6588 0.5159 Si
0.6589 0.0329 0.0073 Si
0.9590 0.0511 0.5153 Si
0.9604 0.3521 0.0069 Si
0.9849 0.3680 0.3448 Si
0.9874 0.9903 0.8436 Si
0.0176 0.0168 0.1692 S
0.0241 0.3017 0.6755 S
0.3381 0.6608 0.0045 S
0.3531 0.3411 0.5159 S
0.6740 0.9970 0.3428 S
0.6779 0.6819 0.8448 S
0.0028 0.8686 0.1672 O
0.0126 0.8604 0.8957 O
0.0870 0.0256 0.2263 O
0.1078 0.2061 0.7286 O
0.1209 0.0125 0.1205 O
0.1215 0.2230 0.6229 O
0.1364 0.0427 0.5205 O
0.1377 0.1808 0.0100 O
0.1520 0.1912 0.3451 O
0.1544 0.0031 0.8383 O
0.1557 0.4987 0.1667 O
0.1647 0.4796 0.8949 O
0.1656 0.6952 0.6764 O
0.1750 0.6774 0.9966 O
0.1881 0.6981 0.4008 O
0.1926 0.4934 0.5168 O
0.2012 0.6789 0.2830 O
0.2275 0.4793 0.7818 O
0.3070 0.8292 0.6199 O
0.3100 0.1945 0.8393 O
0.3152 0.2060 0.1195 O
0.3194 0.8260 0.0083 O
0.3222 0.8401 0.3446 O
0.3266 0.2011 0.5227 O
0.3340 0.2346 0.2357 O
0.3418 0.8136 0.7348 O
0.3993 0.5717 0.0606 O
0.4367 0.3197 0.4592 O
0.4514 0.3531 0.5637 O
0.4516 0.5699 0.9568 O
0.4696 0.5105 0.3418 O
0.4757 0.3605 0.8526 O
0.4838 0.3391 0.1686 O
0.4863 0.8433 0.5204 O
0.4911 0.0205 0.0105 O
0.4938 0.5351 0.6738 O
0.4967 0.0399 0.7341 O
0.4983 0.8337 0.1176 O
0.5079 0.0142 0.6185 O
0.5131 0.0079 0.3435 O
0.5184 0.8362 0.8406 O
0.5322 0.7860 0.2346 O
0.6176 0.5966 0.4528 O
0.6279 0.1875 0.6727 O
0.6287 0.1688 0.9567 O
0.6430 0.5322 0.1684 O
0.6486 0.5444 0.8551 O
0.6533 0.1612 0.3447 O
0.6581 0.5305 0.5669 O
0.7008 0.0945 0.0679 O
0.7620 0.9013 0.3951 O
0.7678 0.9154 0.2894 O
0.7695 0.7021 0.8934 O
0.7724 0.6483 0.7898 O
0.7848 0.8563 0.6751 O
0.7896 0.7169 0.1659 O
0.8123 0.6699 0.5195 O
0.8158 0.8519 0.9945 O
0.8257 0.3441 0.3425 O
0.8289 0.1612 0.5670 O
0.8291 0.1747 0.8536 O
0.8481 0.3307 0.9566 O
0.8536 0.1638 0.1677 O
0.8603 0.3949 0.0687 O
0.8613 0.3128 0.6732 O
0.8895 0.1374 0.4518 O
0.9399 0.9304 0.7836 O
0.9664 0.4771 0.2867 O
0.9800 0.8687 0.5186 O
0.9865 0.5092 0.9956 O
0.9926 0.4625 0.4036 O
0.9990 0.4693 0.6788 O
```

Output
Energy of formation from the pure elements = -2859.9 meV/atom
Electronic total energy = -6.7969 eV/atom


A relaxed Na14La4Sc4Si7S5O48 crystal. Source: Materials Project, functional PBE.

```
Na14La4Sc4Si7S5O48
1.0
9.4607 0.0000 0.0000
-0.0276 16.3927 0.0000
-0.0058 -0.1022 23.3556
Na La Sc Si S O
42 12 12 21 15 144
direct
0.0000 0.0000 0.0000 Na
0.0000 0.0325 0.3226 Na
0.0133 0.3319 0.6598 Na
0.0254 0.6800 0.3187 Na
0.1165 0.1767 0.8227 Na
0.1268 0.8421 0.1576 Na
0.1440 0.8804 0.4775 Na
0.1459 0.4995 0.4892 Na
0.1471 0.5331 0.8353 Na
0.1682 0.1944 0.4922 Na
0.1821 0.5290 0.1637 Na
0.1959 0.8619 0.8398 Na
0.3023 0.6910 0.2483 Na
0.3088 0.3475 0.5698 Na
0.3258 0.0127 0.9157 Na
0.3303 0.0120 0.4045 Na
0.3406 0.3543 0.0711 Na
0.3433 0.6890 0.7513 Na
0.4552 0.8695 0.3337 Na
0.4619 0.5287 0.6657 Na
0.4729 0.1870 0.0018 Na
0.4936 0.5303 0.3313 Na
0.4984 0.8828 0.9854 Na
0.5160 0.8300 0.6593 Na
0.5194 0.1760 0.3181 Na
0.6215 0.6795 0.8244 Na
0.6301 0.3260 0.1572 Na
0.6442 0.3770 0.4801 Na
0.6504 0.0301 0.8352 Na
0.6701 0.6909 0.4946 Na
0.6905 0.3633 0.8393 Na
0.6995 0.0287 0.1659 Na
0.8043 0.8578 0.5686 Na
0.8134 0.1775 0.2426 Na
0.8165 0.5124 0.9104 Na
0.8211 0.5120 0.4084 Na
0.8419 0.1876 0.7505 Na
0.8421 0.8571 0.0787 Na
0.9468 0.3598 0.3366 Na
0.9612 0.0299 0.6638 Na
0.9743 0.6963 0.9963 Na
0.9994 0.3778 0.9809 Na
0.3106 0.6907 0.0907 La
0.3167 0.3555 0.7315 La
0.3246 0.0276 0.5540 La
0.3289 0.3490 0.2317 La
0.3308 0.3712 0.9245 La
0.3309 0.6861 0.5919 La
0.8136 0.8717 0.4222 La
0.8148 0.8505 0.7325 La
0.8176 0.5272 0.0546 La
0.8209 0.1817 0.0947 La
0.8321 0.1893 0.5896 La
0.8345 0.8608 0.2284 La
0.3095 0.0256 0.7647 Sc
0.3177 0.0269 0.0599 Sc
0.3190 0.0287 0.2582 Sc
0.3199 0.6917 0.8963 Sc
0.3226 0.3693 0.4228 Sc
0.3278 0.6889 0.3944 Sc
0.8113 0.5269 0.5544 Sc
0.8141 0.5289 0.7620 Sc
0.8172 0.1878 0.8956 Sc
0.8206 0.8703 0.9237 Sc
0.8223 0.1912 0.3955 Sc
0.8340 0.5255 0.2644 Sc
0.0013 0.3568 0.8259 Si
0.0352 0.0247 0.1605 Si
0.1437 0.8553 0.3283 Si
0.1648 0.8436 0.9901 Si
0.1692 0.5413 0.9916 Si
0.1705 0.5108 0.3265 Si
0.1736 0.1732 0.6626 Si
0.4611 0.1699 0.1583 Si
0.4711 0.8368 0.4925 Si
0.4734 0.5368 0.4910 Si
0.4787 0.5183 0.8199 Si
0.5113 0.8567 0.8270 Si
0.6317 0.3571 0.3284 Si
0.6597 0.0192 0.3224 Si
0.6669 0.0378 0.9893 Si
0.6754 0.3355 0.9928 Si
0.6822 0.6689 0.6583 Si
0.9714 0.6715 0.1627 Si
0.9726 0.0108 0.8255 Si
0.9729 0.0409 0.4924 Si
0.9786 0.3442 0.4924 Si
0.0204 0.6856 0.4914 S
0.1027 0.5234 0.6599 S
0.1230 0.1868 0.9897 S
0.1659 0.2050 0.3329 S
0.1777 0.8777 0.6638 S
0.4633 0.8841 0.1592 S
0.4796 0.1985 0.8275 S
0.5213 0.1987 0.4861 S
0.5261 0.5241 0.1660 S
0.6175 0.0242 0.6658 S
0.6220 0.6982 0.9853 S
0.6655 0.6991 0.3275 S
0.6808 0.3852 0.6589 S
0.9660 0.3789 0.1639 S
0.9779 0.7029 0.8308 S
0.0111 0.1942 0.3410 O
0.0141 0.5208 0.6073 O
0.0156 0.5240 0.7125 O
0.0219 0.8720 0.6667 O
0.0294 0.1782 0.9383 O
0.0392 0.2015 0.0411 O
0.0401 0.8312 0.2741 O
0.0440 0.8723 0.3846 O
0.1027 0.3354 0.7701 O
0.1031 0.3766 0.8811 O
0.1048 0.6989 0.5434 O
0.1141 0.6758 0.4405 O
0.1221 0.3738 0.1668 O
0.1314 0.0226 0.2191 O
0.1328 0.6924 0.8390 O
0.1349 0.0204 0.1020 O
0.1481 0.0200 0.8213 O
0.1476 0.0426 0.4865 O
0.1479 0.6757 0.1678 O
0.1524 0.3509 0.4829 O
0.1806 0.2547 0.2807 O
0.1828 0.7903 0.0495 O
0.1926 0.4474 0.6586 O
0.1980 0.5954 0.6612 O
0.2010 0.4476 0.3802 O
0.2070 0.1093 0.9936 O
0.2120 0.9209 0.6102 O
0.2179 0.4447 0.9931 O
0.2211 0.1313 0.6021 O
0.2221 0.2562 0.9832 O
0.2245 0.5791 0.0526 O
0.2251 0.1159 0.7177 O
0.2285 0.5967 0.9377 O
0.2324 0.1233 0.3263 O
0.2341 0.2477 0.3821 O
0.2343 0.9243 0.7141 O
0.2352 0.2679 0.6618 O
0.2392 0.6019 0.3373 O
0.2402 0.9343 0.9949 O
0.2402 0.9383 0.3194 O
0.2415 0.7930 0.9371 O
0.2428 0.4736 0.2684 O
0.2454 0.7959 0.6652 O
0.2466 0.7738 0.3354 O
0.3907 0.9252 0.4880 O
0.3952 0.8020 0.1591 O
0.3983 0.5686 0.5502 O
0.4014 0.2653 0.1552 O
0.4008 0.6061 0.8337 O
0.4028 0.4828 0.7611 O
0.4055 0.7778 0.8368 O
0.4054 0.7809 0.4400 O
0.4078 0.4444 0.4821 O
0.4099 0.2329 0.8784 O
0.4126 0.1210 0.2162 O
0.4128 0.9268 0.2115 O
0.4136 0.1204 0.0994 O
0.4174 0.1156 0.8177 O
0.4169 0.9418 0.8215 O
0.4239 0.9290 0.1063 O
0.4286 0.1256 0.4865 O
0.4288 0.2724 0.4810 O
0.4326 0.4501 0.1657 O
0.4355 0.5981 0.1668 O
0.4364 0.7939 0.5550 O
0.4396 0.5993 0.4382 O
0.4587 0.2527 0.7776 O
0.4691 0.4474 0.8686 O
0.4883 0.0335 0.3165 O
0.4926 0.0312 0.9945 O
0.5012 0.3346 0.9906 O
0.5052 0.6720 0.6632 O
0.5097 0.6880 0.3334 O
0.5134 0.3721 0.3798 O
0.5243 0.0244 0.7170 O
0.5236 0.3804 0.6593 O
0.5257 0.6902 0.9355 O
0.5340 0.0184 0.6128 O
0.5410 0.7072 0.0390 O
0.5450 0.3349 0.2693 O
0.5955 0.8333 0.7671 O
0.6011 0.2082 0.5402 O
0.6094 0.5184 0.1130 O
0.6179 0.1918 0.4369 O
0.6196 0.5243 0.2173 O
0.6195 0.8771 0.1600 O
0.6313 0.8709 0.8773 O
0.6352 0.1886 0.8336 O
0.6366 0.1766 0.1627 O
0.6446 0.8355 0.4906 O
0.6491 0.5296 0.4965 O
0.6512 0.5338 0.8155 O
0.6693 0.9500 0.3727 O
0.6889 0.7543 0.2789 O
0.7054 0.0983 0.9352 O
0.7089 0.0981 0.6666 O
0.7105 0.9499 0.6655 O
0.7131 0.2932 0.0543 O
0.7143 0.6249 0.9858 O
0.7140 0.7718 0.9797 O
0.7225 0.4307 0.6064 O
0.7258 0.4426 0.3229 O
0.7281 0.6160 0.3178 O
0.7308 0.6182 0.5999 O
0.7322 0.4279 0.7111 O
0.7328 0.7317 0.3800 O
0.7337 0.6179 0.7150 O
0.7340 0.9452 0.9804 O
0.7375 0.2794 0.3390 O
0.7385 0.2824 0.9378 O
0.7391 0.7640 0.6560 O
0.7403 0.1072 0.3357 O
0.7407 0.9826 0.2655 O
0.7451 0.3029 0.6586 O
0.7457 0.0698 0.0473 O
0.7539 0.4251 0.9870 O
0.8977 0.2956 0.4400 O
0.8978 0.2982 0.1652 O
0.8999 0.2752 0.8336 O
0.9018 0.9747 0.7665 O
0.9045 0.1021 0.8361 O
0.9049 0.4400 0.8159 O
0.9068 0.4366 0.4984 O
0.9071 0.7435 0.8798 O
0.9091 0.7644 0.1621 O
0.9104 0.4258 0.2144 O
0.9142 0.1000 0.4407 O
0.9143 0.6200 0.8230 O
0.9202 0.0770 0.5547 O
0.9202 0.6135 0.2177 O
0.9217 0.7545 0.4852 O
0.9233 0.9446 0.4931 O
0.9254 0.6284 0.1021 O
0.9277 0.1027 0.1649 O
0.9332 0.4229 0.1103 O
0.9363 0.6075 0.4960 O
0.9356 0.9406 0.1565 O
0.9415 0.9460 0.8777 O
0.9613 0.2924 0.5525 O
0.9627 0.7527 0.7785 O
0.9912 0.8499 0.9808 O
0.9950 0.5193 0.3224 O
0.9946 0.5434 0.9856 O
0.9971 0.1784 0.6676 O
```

Output
Energy of formation from the pure elements = -2834.5 meV/atom
Electronic total energy = -6.8196 eV/atom